No. 1
DFT (r²SCAN) results for Ta3B4 after structural relaxation.

Cell lengths 3.1352, 3.2926, 14.0240 Å; angles 90.00, 90.00, 90.00 degrees
Last column: nearest neighbours and their distance in Å.
Space group Immm (No. 71)
One atom of each set of equivalent atoms:
Ta1 0.0000 0.0000 0.0000 x2  12 B 2.45-2.50
Ta2 0.0000 0.5000 0.3151 x4  7 B 2.36-2.54
B1 0.0000 0.0000 0.4356 x4  3 B 1.81-1.84
B2 0.0000 0.5000 0.1337 x4  2 B 1.84

## Properties
Volume = 72.4 Å³/f.u.
Energy relative to the elements = -5.63 eV per formula unit

***

No. 2
DFT (r²SCAN) results for TaTiB4 after structural relaxation.

Cell lengths 3.0625, 3.0625, 6.5239 Å; angles 90.00, 90.00, 120.00 degrees
Last column: nearest neighbours and their distance in Å.
Space group P6/mmm (No. 191)
One atom of each set of equivalent atoms:
Ta1 0.0000 0.0000 0.0000 x1  12 B 2.44
Ti1 0.0000 0.0000 0.5000 x1  12 B 2.38
B1 0.3333 0.6667 0.2569 x4  3 B 1.77

## Properties
Volume = 53.0 Å³/f.u.
Energy relative to the elements = -5.44 eV per formula unit

***

No. 3
DFT (r²SCAN) results for TbB4 after structural relaxation.

Cell lengths 7.1112, 7.1112, 4.0255 Å; angles 90.00, 90.00, 90.00 degrees
Last column: nearest neighbours and their distance in Å.
Space group P4/mbm (No. 127)
One atom of each set of equivalent atoms:
Tb1 0.1825 0.3175 0.0000 x4  16 B 2.73-2.86
B1 0.0000 0.0000 0.2031 x4  5 B 1.64-1.75
B2 0.0385 0.8244 0.5000 x8  5 B 1.72-1.81
B3 0.0872 0.5872 0.5000 x4  3 B 1.72-1.75

## Properties
Volume = 50.9 Å³/f.u.
Energy relative to the elements = -3.37 eV per formula unit

***

No. 4
DFT (r²SCAN) results for TbB2 after structural relaxation.

Cell lengths 3.3055, 3.3055, 3.8982 Å; angles 90.00, 90.00, 120.00 degrees
Last column: nearest neighbours and their distance in Å.
Space group P6/mmm (No. 191)
One atom of each set of equivalent atoms:
Tb1 0.0000 0.0000 0.0000 x1  12 B 2.73
B1 0.3333 0.6667 0.5000 x2  3 B 1.91

## Properties
Volume = 36.9 Å³/f.u.
Energy relative to the elements = -1.83 eV per formula unit

***

No. 5
DFT (r²SCAN) results for TbVB4 after structural relaxation.

Cell lengths 6.0142, 11.6437, 3.4523 Å; angles 90.00, 90.00, 90.00 degrees
Last column: nearest neighbours and their distance in Å.
Space group Pbam (No. 55)
One atom of each set of equivalent atoms:
Tb1 0.1240 0.1515 0.0000 x4  14 B 2.63-2.77
V1 0.1268 0.4172 0.0000 x4  10 B 2.29-2.32, 1 V 2.46
B1 0.0233 0.6916 0.5000 x4  3 B 1.77-1.86
B2 0.1144 0.5472 0.5000 x4  3 B 1.76-1.77
B3 0.1368 0.9675 0.5000 x4  3 B 1.76-1.84
B4 0.2148 0.8147 0.5000 x4  3 B 1.84-1.86

## Properties
Volume = 60.4 Å³/f.u.
Energy relative to the elements = -4.57 eV per formula unit

***

No. 6
DFT (r²SCAN) results for ThB12 after structural relaxation.

Cell lengths 7.6001, 7.6001, 7.6001 Å; angles 90.00, 90.00, 90.00 degrees
Last column: nearest neighbours and their distance in Å.
Space group Fm-3m (No. 225)
One atom of each set of equivalent atoms:
Th1 0.0000 0.0000 0.0000 x4  24 B 2.83
B1 0.0000 0.1687 0.3313 x48  5 B 1.75-1.81

## Properties
Volume = 109.7 Å³/f.u.
Energy relative to the elements = -3.32 eV per formula unit

***

No. 7
DFT (r²SCAN) results for ThVB4 after structural relaxation.

Cell lengths 7.4658, 9.6092, 3.6676 Å; angles 90.00, 90.00, 90.00 degrees
Last column: nearest neighbours and their distance in Å.
Space group Cmmm (No. 65)
One atom of each set of equivalent atoms:
Th1 0.0000 0.1985 0.0000 x4  14 B 2.74-2.84
V1 0.1619 0.5000 0.0000 x4  10 B 2.36-2.40, 1 V 2.42
B1 0.0000 0.4107 0.5000 x4  3 B 1.72-1.76
B2 0.1333 0.0000 0.5000 x4  3 B 1.84-1.99
B3 0.2210 0.3458 0.5000 x8  3 B 1.76-1.89

## Properties
Volume = 65.8 Å³/f.u.
Energy relative to the elements = -4.20 eV per formula unit

***

No. 8
DFT (r²SCAN) results for ThB4W after structural relaxation.

Cell lengths 7.5121, 9.6563, 3.7643 Å; angles 90.00, 90.00, 90.00 degrees
Last column: nearest neighbours and their distance in Å.
Space group Cmmm (No. 65)
One atom of each set of equivalent atoms:
Th1 0.0000 0.1980 0.0000 x4  14 B 2.78-2.88
B1 0.0000 0.4100 0.5000 x4  3 B 1.74-1.77
B2 0.1284 0.0000 0.5000 x4  3 B 1.89-1.93
B3 0.2204 0.3438 0.5000 x8  3 B 1.77-1.89
W1 0.1711 0.5000 0.0000 x4  10 B 2.41-2.44, 1 W 2.57

## Properties
Volume = 68.3 Å³/f.u.
Energy relative to the elements = -3.30 eV per formula unit

***

No. 9
DFT (r²SCAN) results for TiB after structural relaxation.

Cell lengths 6.1064, 3.0503, 4.5589 Å; angles 90.00, 90.00, 90.00 degrees
Last column: nearest neighbours and their distance in Å.
Space group Pnma (No. 62)
One atom of each set of equivalent atoms:
Ti1 0.1775 0.2500 0.1222 x4  7 B 2.35-2.55
B1 0.0300 0.2500 0.5996 x4  2 B 1.81

## Properties
Volume = 21.2 Å³/f.u.
Energy relative to the elements = -1.76 eV per formula unit

***

No. 10
DFT (r²SCAN) results for TiB2 after structural relaxation.

Cell lengths 3.0259, 3.0259, 3.2288 Å; angles 90.00, 90.00, 120.00 degrees
Last column: nearest neighbours and their distance in Å.
Space group P6/mmm (No. 191)
One atom of each set of equivalent atoms:
Ti1 0.0000 0.0000 0.0000 x1  12 B 2.38
B1 0.3333 0.6667 0.5000 x2  3 B 1.75

## Properties
Volume = 25.6 Å³/f.u.
Energy relative to the elements = -3.30 eV per formula unit

***

No. 11
DFT (r²SCAN) results for TmB12 after structural relaxation.

Cell lengths 7.4592, 7.4592, 7.4592 Å; angles 90.00, 90.00, 90.00 degrees
Last column: nearest neighbours and their distance in Å.
Space group Fm-3m (No. 225)
One atom of each set of equivalent atoms:
Tm1 0.0000 0.0000 0.0000 x4  24 B 2.77
B1 0.0000 0.1691 0.3309 x48  5 B 1.71-1.78

## Properties
Volume = 103.8 Å³/f.u.
Energy relative to the elements = -3.46 eV per formula unit

***

No. 12
DFT (r²SCAN) results for UB2 after structural relaxation.

Cell lengths 3.0858, 3.0858, 4.0474 Å; angles 90.00, 90.00, 120.00 degrees
Last column: nearest neighbours and their distance in Å.
Space group P6/mmm (No. 191)
One atom of each set of equivalent atoms:
U1 0.0000 0.0000 0.0000 x1  12 B 2.70
B1 0.3333 0.6667 0.5000 x2  3 B 1.78

## Properties
Volume = 33.4 Å³/f.u.
Energy relative to the elements = -1.85 eV per formula unit

***

Which of these has the highest volume? ThB12